SiH2 after structural relaxation. Source: the Materials Project database, functional PBE. Values from VASP.

Geometry as Quantum ESPRESSO input:
```
&SYSTEM
  ibrav = 0, nat = 30, ntyp = 2
/
ATOMIC_SPECIES
H 1.01 H.upf
Si 28.09 Si.upf
ATOMIC_POSITIONS angstrom
H 12.123 4.288 0.140
H 7.967 1.602 4.305
H 10.416 3.628 2.778
H 1.024 5.070 3.001
H 5.920 5.070 3.001
H 12.864 1.602 4.305
H 3.472 1.533 2.649
H 0.468 3.009 1.871
H 8.708 4.288 0.140
H 8.772 1.200 1.104
H 7.412 3.663 5.434
H 13.419 3.663 5.434
H 5.115 5.472 6.201
H 6.475 3.009 1.871
H 12.059 1.200 1.104
H 3.472 3.044 4.527
H 1.828 5.472 6.201
H 1.765 2.384 7.165
H 5.179 2.384 7.165
H 10.416 5.139 4.657
Si 2.295 4.948 0.049
Si 3.472 2.985 3.033
Si 5.381 4.007 2.089
Si 12.325 2.665 5.217
Si 11.593 1.724 7.256
Si 8.506 2.665 5.217
Si 1.563 4.007 2.089
Si 4.649 4.948 0.049
Si 9.238 1.724 7.256
Si 10.416 3.687 4.273
CELL_PARAMETERS angstrom
13.887 0.000 0.000
0.000 5.311 0.000
0.000 1.361 7.305
```

Values from the calculation:
Energy relative to the elements: -0.069 eV/atom
E_tot: -120.59 eV/cell
E (MP2020): -4.14 eV per atom

LaMg4Cu after structural relaxation. Source: the Materials Project database, functional PBE. Values from VASP.

Geometry as Quantum ESPRESSO input:
```
&SYSTEM
  ibrav = 0, nat = 18, ntyp = 3
/
ATOMIC_SPECIES
Mg 24.30 Mg.upf
La 138.91 La.upf
Cu 63.55 Cu.upf
ATOMIC_POSITIONS angstrom
Mg 3.999 1.642 2.267
Mg 3.999 -1.642 2.267
Mg 0.859 1.487 2.267
Mg 4.589 -4.665 2.267
Mg 4.589 4.665 2.267
Mg 6.912 2.642 2.267
Mg 3.861 6.688 0.000
Mg 8.616 0.000 2.267
Mg 3.861 -6.688 0.000
Mg 2.611 0.000 0.000
Mg 6.912 -2.642 2.267
Mg 0.859 -1.487 2.267
La 2.106 -3.647 0.000
La 6.122 0.000 0.000
La 2.106 3.647 0.000
Cu 5.167 -2.983 0.000
Cu 5.167 2.983 0.000
Cu 0.000 0.000 0.000
CELL_PARAMETERS angstrom
5.167 -8.949 0.000
5.167 8.949 0.000
0.000 0.000 4.534
```

Values from the calculation:
Energy relative to the elements: -0.132 eV/atom
E_tot: -48.69 eV/cell

LuZn12 after structural relaxation. Source: the Materials Project database, functional PBE. Values from VASP.

Geometry as Quantum ESPRESSO input:
```
&SYSTEM
  ibrav = 0, nat = 13, ntyp = 2
/
ATOMIC_SPECIES
Zn 65.41 Zn.upf
Lu 174.97 Lu.upf
ATOMIC_POSITIONS angstrom
Zn 1.897 0.000 2.701
Zn 0.000 1.897 2.701
Zn -2.178 2.178 1.350
Zn 2.178 -2.178 1.350
Zn 4.356 2.460 0.000
Zn 2.460 4.356 0.000
Zn 3.056 0.000 0.000
Zn 5.656 0.000 0.000
Zn 2.178 2.178 -1.350
Zn 0.000 3.056 0.000
Zn 0.000 5.656 0.000
Zn 2.178 2.178 1.350
Lu 0.000 0.000 0.000
CELL_PARAMETERS angstrom
-4.356 4.356 2.701
4.356 -4.356 2.701
4.356 4.356 -2.701
```

Values from the calculation:
Energy relative to the elements: -0.158 eV/atom
E_tot: -21.69 eV/cell

Li7VAs4 after structural relaxation. Source: the Materials Project database, functional PBE. Values from VASP.

Geometry as Quantum ESPRESSO input:
```
&SYSTEM
  ibrav = 0, nat = 24, ntyp = 3
/
ATOMIC_SPECIES
As 74.92 As.upf
Li 6.94 Li.upf
V 50.94 V.upf
ATOMIC_POSITIONS angstrom
As -0.127 11.346 6.178
As 0.192 15.534 7.430
As -0.127 10.093 9.891
As 0.192 5.904 8.638
As -0.192 3.213 3.282
As 0.127 7.401 4.535
As -0.192 12.843 2.074
As 0.127 8.654 0.822
Li -1.418 13.495 6.667
Li 1.418 5.252 4.045
Li 1.424 12.053 4.031
Li 1.418 10.804 1.311
Li 1.424 4.003 1.325
Li -1.418 7.944 9.401
Li -1.541 8.028 2.678
Li 1.508 12.021 10.637
Li -1.508 6.726 0.075
Li -1.424 14.744 9.387
Li 1.508 9.417 5.431
Li -1.424 6.694 6.681
Li 1.541 10.719 8.034
Li -1.508 9.330 5.281
V 1.476 8.028 2.678
V -1.476 10.719 8.034
CELL_PARAMETERS angstrom
3.023 6.682 0.000
-3.023 6.682 0.000
0.000 5.382 10.712
```

Values from the calculation:
Energy relative to the elements: -0.649 eV/atom
E_tot: -97.75 eV/cell

Ba5Ru2Br2O9 after structural relaxation. Source: the Materials Project database, functional PBE. Values from VASP.

Geometry as Quantum ESPRESSO input:
```
&SYSTEM
  ibrav = 0, nat = 36, ntyp = 4
/
ATOMIC_SPECIES
Ba 137.33 Ba.upf
Br 79.90 Br.upf
Ru 101.07 Ru.upf
O 16.00 O.upf
ATOMIC_POSITIONS angstrom
Ba -3.883 0.121 -1.291
Ba -13.110 11.976 1.184
Ba -6.455 3.426 -0.601
Ba -15.514 15.064 1.829
Ba -7.281 4.557 3.103
Ba -13.936 13.107 4.888
Ba -11.364 9.802 4.198
Ba -16.509 16.412 5.578
Ba -9.028 6.731 0.089
Ba -4.877 1.468 2.459
Br -11.106 9.401 0.647
Br -17.518 17.639 2.366
Br -9.285 7.131 3.641
Br -2.873 -1.106 1.921
Ru -10.920 14.029 2.928
Ru -3.062 3.934 0.821
Ru -4.795 6.160 1.286
Ru -12.652 16.254 3.393
O -3.694 2.411 -0.128
O -4.902 4.126 1.836
O -16.698 14.122 4.415
O -15.187 14.750 7.036
O -14.263 16.024 4.377
O -15.489 12.407 2.452
O -14.518 13.746 -0.344
O -5.873 2.787 4.631
O -11.370 12.307 3.601
O -9.021 4.225 0.686
O -13.805 10.405 3.639
O -12.294 11.033 6.260
O -6.128 0.509 -0.090
O -6.587 6.128 0.648
O -8.097 5.499 -1.973
O -5.204 1.783 -2.749
O -7.461 2.126 1.876
O -12.930 14.407 2.412
CELL_PARAMETERS angstrom
-2.902 -1.208 -5.036
-1.775 -2.448 5.109
-15.714 20.189 4.214
```

Values from the calculation:
Energy relative to the elements: -2.398 eV/atom
E_tot: -225.88 eV/cell
E (MP2020): -6.62 eV per atom

CrIn2S4 after structural relaxation. Source: the Materials Project database, functional PBE. Values from VASP.

Geometry as Quantum ESPRESSO input:
```
&SYSTEM
  ibrav = 0, nat = 14, ntyp = 3
/
ATOMIC_SPECIES
In 114.82 In.upf
S 32.06 S.upf
Cr 52.00 Cr.upf
ATOMIC_POSITIONS angstrom
In -2.023 4.897 7.048
In 1.772 5.132 6.947
In -0.071 5.524 10.251
In 0.095 2.122 8.558
S -0.099 7.706 14.301
S 1.861 3.952 9.326
S -0.043 3.341 6.201
S 0.063 4.388 12.649
S -0.205 6.659 7.853
S 1.698 7.324 11.079
S -2.003 7.095 11.177
S -1.841 3.723 9.424
Cr -0.028 2.209 4.101
Cr 0.000 0.000 0.000
CELL_PARAMETERS angstrom
3.904 1.253 6.407
-0.332 6.802 3.387
-3.686 0.782 6.608
```

Values from the calculation:
Energy relative to the elements: -0.754 eV/atom
E_tot: -69.94 eV/cell
E (MP2020): -5.28 eV per atom